# 1
The following is a r2SCAN calculation of an optimized crystal structure of La3Sc, from Materials Project.

total magnetic moment	0.00	Bohr magnetons per cell
E_form	54	meV per atom

Cell: 6.3268 6.3268 6.3268 Å, 132.74 132.74 69.06°
Last column: nearest neighbours and their distance in Å.
Sites, in units of the cell vectors:
La (0.0000, 0.0000, 0.0000)  4 Sc 3.59, 8 La 3.64
La (0.2500, 0.7500, 0.5000)  8 La 3.59-3.64, 4 Sc 3.64
La (0.7500, 0.2500, 0.5000)  8 La 3.59-3.64, 4 Sc 3.64
Sc (0.5000, 0.5000, 0.0000)  12 La 3.59-3.64

# 2
The following is a r2SCAN calculation of an optimized crystal structure of La2ScSi2, from Materials Project.

total magnetic moment	0.00	Bohr magnetons per cell
E_form	-752	meV per atom

Cell: 7.4770 7.4770 4.5714 Å, 90.00 90.00 90.00°
Last column: nearest neighbours and their distance in Å.
Sites, in units of the cell vectors:
La (0.1782, 0.3218, 0.0000)  6 Si 3.15-3.21
La (0.3218, 0.8218, 0.0000)  6 Si 3.15-3.21
La (0.6782, 0.1782, 0.0000)  6 Si 3.15-3.21
La (0.8218, 0.6782, 0.0000)  6 Si 3.15-3.21
Sc (0.0000, 0.0000, 0.5000)  4 Si 2.99
Sc (0.5000, 0.5000, 0.5000)  4 Si 2.99
Si (0.1170, 0.6170, 0.5000)  1 Si 2.47
Si (0.3830, 0.1170, 0.5000)  1 Si 2.47
Si (0.6170, 0.8830, 0.5000)  1 Si 2.47
Si (0.8830, 0.3830, 0.5000)  1 Si 2.47

# 3
The following is a r2SCAN calculation of an optimized crystal structure of LaScSi, from Materials Project.

total magnetic moment	2.06	Bohr magnetons per cell
E_form	-700	meV per atom

Cell: 8.7051 8.7051 8.7051 Å, 151.04 151.04 41.42°
Last column: nearest neighbours and their distance in Å.
Sites, in units of the cell vectors:
La (0.1769, 0.1769, 0.0000)  5 Si 3.22-3.34
La (0.8231, 0.8231, 0.0000)  5 Si 3.22-3.34
Sc (0.0000, 0.5000, 0.5000)  4 Si 2.90, 4 Sc 3.08
Sc (0.5000, 0.0000, 0.5000)  4 Si 2.90, 4 Sc 3.08
Si (0.3819, 0.3819, 0.0000)  4 Sc 2.90, 4 La 3.22
Si (0.6181, 0.6181, 0.0000)  4 Sc 2.90, 4 La 3.22

# 4
The following is a r2SCAN calculation of an optimized crystal structure of LaSe2, from Materials Project.

total magnetic moment	0.00	Bohr magnetons per cell
E_form	-2025	meV per atom

Cell: 8.6244 4.2814 8.5492 Å, 90.00 90.20 90.00°
Last column: nearest neighbours and their distance in Å.
Sites, in units of the cell vectors:
La (0.2233, 0.2206, 0.3727)  9 Se 3.03-3.33
La (0.2233, 0.2794, 0.8727)  9 Se 3.03-3.33
La (0.7767, 0.7206, 0.1273)  9 Se 3.03-3.33
La (0.7767, 0.7794, 0.6273)  9 Se 3.03-3.33
Se (0.1340, 0.7412, 0.1257)  5 La 3.03-3.25
Se (0.1340, 0.7588, 0.6257)  5 La 3.03-3.25
Se (0.4975, 0.6741, 0.3841)  1 Se 2.48
Se (0.4975, 0.8259, 0.8841)  1 Se 2.48
Se (0.5025, 0.1741, 0.1159)  1 Se 2.48
Se (0.5025, 0.3259, 0.6159)  1 Se 2.48
Se (0.8660, 0.2412, 0.3743)  5 La 3.03-3.25
Se (0.8660, 0.2588, 0.8743)  5 La 3.03-3.25